Compound: K2MnH8S2O12
Source: Materials Project
Functional: GGA+U
Structure: relaxed

Cell: 12.2094 12.2094 12.1303 Å, 115.14 115.14 46.42°
Last column: nearest neighbours and their distance in Å.
Fractional positions:
K: 0.1035 0.1377 0.2012  6 O 2.72-3.00, 2 H 2.88-3.01
K: 0.1377 0.1035 0.7012  6 O 2.72-3.00, 2 H 2.88-3.01
K: 0.3625 0.3813 0.7916  7 O 2.77-3.07, 1 H 2.93
K: 0.3813 0.3625 0.2916  7 O 2.77-3.07, 1 H 2.93
K: 0.6187 0.6375 0.7084  7 O 2.77-3.07, 1 H 2.93
K: 0.6375 0.6187 0.2084  7 O 2.77-3.07, 1 H 2.93
K: 0.8623 0.8965 0.2988  6 O 2.72-3.00, 2 H 2.88-3.01
K: 0.8965 0.8623 0.7988  6 O 2.72-3.00, 2 H 2.88-3.01
Mn: 0.0000 0.5000 0.5000  6 O 2.19-2.21
Mn: 0.2508 0.7492 0.2500  6 O 2.12-2.22
Mn: 0.5000 0.0000 0.0000  6 O 2.19-2.21
Mn: 0.7492 0.2508 0.7500  6 O 2.12-2.22
H: 0.0174 0.9434 0.6740  1 O 1.00
H: 0.0223 0.2440 0.4665  1 O 1.00
H: 0.0566 0.9826 0.8260  1 O 1.00
H: 0.1008 0.6169 0.1667  1 O 0.99
H: 0.1321 0.5912 0.0402  1 O 0.99
H: 0.1870 0.2021 0.5239  1 O 1.00
H: 0.2021 0.1870 0.0239  1 O 1.00
H: 0.2440 0.0223 0.9665  1 O 1.00
H: 0.2577 0.4735 0.5298  1 O 1.00
H: 0.3049 0.3070 0.9791  1 O 0.99
H: 0.3070 0.3049 0.4791  1 O 0.99
H: 0.3831 0.8992 0.3333  1 O 0.99
H: 0.4088 0.8679 0.4598  1 O 0.99
H: 0.4429 0.5184 0.6740  1 O 1.00
H: 0.4735 0.2577 0.0298  1 O 1.00
H: 0.4816 0.5571 0.8260  1 O 1.00
H: 0.5184 0.4429 0.1740  1 O 1.00
H: 0.5265 0.7423 0.9702  1 O 1.00
H: 0.5571 0.4816 0.3260  1 O 1.00
H: 0.5912 0.1321 0.5402  1 O 0.99
H: 0.6169 0.1008 0.6667  1 O 0.99
H: 0.6930 0.6951 0.5209  1 O 0.99
H: 0.6951 0.6930 0.0209  1 O 0.99
H: 0.7423 0.5265 0.4702  1 O 1.00
H: 0.7560 0.9777 0.0335  1 O 1.00
H: 0.7979 0.8130 0.9761  1 O 1.00
H: 0.8130 0.7979 0.4761  1 O 1.00
H: 0.8679 0.4088 0.9598  1 O 0.99
H: 0.8992 0.3831 0.8333  1 O 0.99
H: 0.9434 0.0174 0.1740  1 O 1.00
H: 0.9777 0.7560 0.5335  1 O 1.00
H: 0.9826 0.0566 0.3260  1 O 1.00
S: 0.0012 0.5184 0.7980  4 O 1.49-1.50
S: 0.2300 0.7248 0.5208  4 O 1.48-1.51
S: 0.2752 0.7700 0.9792  4 O 1.48-1.51
S: 0.4816 0.9988 0.7020  4 O 1.49-1.50
S: 0.5184 0.0012 0.2980  4 O 1.49-1.50
S: 0.7248 0.2300 0.0208  4 O 1.48-1.51
S: 0.7700 0.2752 0.4792  4 O 1.48-1.51
S: 0.9988 0.4816 0.2020  4 O 1.49-1.50
O: 0.0225 0.9775 0.2500  2 H 1.00
O: 0.0387 0.5271 0.7004  1 S 1.50
O: 0.0427 0.5841 0.2561  1 S 1.49
O: 0.0680 0.8205 0.5371  1 S 1.51
O: 0.0908 0.2591 0.4620  2 H 1.00
O: 0.1296 0.3236 0.1530  1 S 1.49
O: 0.1375 0.6422 0.1294  2 H 0.99
O: 0.1424 0.4570 0.8999  1 S 1.50
O: 0.1795 0.9320 0.9629  1 S 1.51
O: 0.2080 0.6945 0.8850  1 S 1.48
O: 0.2203 0.7194 0.3922  1 S 1.49
O: 0.2405 0.4056 0.5325  2 H 0.99-1.00
O: 0.2591 0.0908 0.9620  2 H 1.00
O: 0.2806 0.7797 0.1078  1 S 1.49
O: 0.3055 0.7920 0.6150  1 S 1.48
O: 0.3208 0.5624 0.5333  1 S 1.51
O: 0.3236 0.1296 0.6530  1 S 1.49
O: 0.3578 0.8625 0.3706  2 H 0.99
O: 0.4056 0.2405 0.0325  2 H 0.99-1.00
O: 0.4159 0.9573 0.2439  1 S 1.49
O: 0.4376 0.6792 0.9667  1 S 1.51
O: 0.4570 0.1424 0.3999  1 S 1.50
O: 0.4729 0.9613 0.7996  1 S 1.50
O: 0.4785 0.5215 0.2500  2 H 1.00
O: 0.5215 0.4785 0.7500  2 H 1.00
O: 0.5271 0.0387 0.2004  1 S 1.50
O: 0.5430 0.8576 0.6001  1 S 1.50
O: 0.5624 0.3208 0.0333  1 S 1.51
O: 0.5841 0.0427 0.7561  1 S 1.49
O: 0.5944 0.7595 0.9675  2 H 0.99-1.00
O: 0.6422 0.1375 0.6294  2 H 0.99
O: 0.6764 0.8704 0.3470  1 S 1.49
O: 0.6792 0.4376 0.4667  1 S 1.51
O: 0.6945 0.2080 0.3850  1 S 1.48
O: 0.7194 0.2203 0.8922  1 S 1.49
O: 0.7409 0.9092 0.0380  2 H 1.00
O: 0.7595 0.5944 0.4675  2 H 0.99-1.00
O: 0.7797 0.2806 0.6078  1 S 1.49
O: 0.7920 0.3055 0.1150  1 S 1.48
O: 0.8205 0.0680 0.0371  1 S 1.51
O: 0.8576 0.5430 0.1001  1 S 1.50
O: 0.8625 0.3578 0.8706  2 H 0.99
O: 0.8704 0.6764 0.8470  1 S 1.49
O: 0.9092 0.7409 0.5380  2 H 1.00
O: 0.9320 0.1795 0.4629  1 S 1.51
O: 0.9573 0.4159 0.7439  1 S 1.49
O: 0.9613 0.4729 0.2996  1 S 1.50
O: 0.9775 0.0225 0.7500  2 H 1.00

Computed properties:
Calculated density, kg/m3: 2272
Symmetry: No. 15
DFT formation energy, eV/f.u.: -43.7